Arrangement A

A plane-wave DFT calculation with PBE with a Hubbard U was carried out for crystalline LiYMo2O8 at its relaxed geometry.

The size of the total moment comes out at 0.000 Bohr magnetons per cell. Its crystal system is triclinic.

Lattice parameters (Å, degrees): 5.2762 6.7963 10.5142 100.91 99.45 112.72
Closest atoms and distances in Å follow each position.
Fractional positions:
Li  0.1647  0.1224  0.3743  3 O 1.96-2.17
Li  0.8353  0.8776  0.6257  3 O 1.96-2.17
Y  0.1236  0.2707  0.9388  8 O 2.32-2.46
Y  0.8764  0.7293  0.0612  8 O 2.32-2.46
Mo  0.3368  0.7995  0.8210  4 O 1.73-1.87
Mo  0.3983  0.6531  0.2956  4 O 1.75-1.89
Mo  0.6017  0.3469  0.7044  4 O 1.75-1.89
Mo  0.6632  0.2005  0.1790  4 O 1.73-1.87
O  0.1236  0.6168  0.9138  1 Mo 1.87
O  0.1749  0.4242  0.3424  1 Mo 1.77
O  0.2051  0.8200  0.2639  1 Mo 1.83
O  0.2078  0.0035  0.7940  1 Mo 1.81
O  0.2949  0.0631  0.0677  1 Mo 1.86
O  0.3005  0.1832  0.5691  1 Mo 1.75, 1 Li 1.96
O  0.3763  0.6766  0.6702  1 Mo 1.73
O  0.4806  0.5442  0.1357  1 Mo 1.89
O  0.5194  0.4558  0.8643  1 Mo 1.89
O  0.6237  0.3234  0.3298  1 Mo 1.73
O  0.6995  0.8168  0.4309  1 Mo 1.75, 1 Li 1.96
O  0.7051  0.9369  0.9323  1 Mo 1.86
O  0.7922  0.9965  0.2060  1 Mo 1.81
O  0.7949  0.1800  0.7361  1 Mo 1.83
O  0.8251  0.5758  0.6576  1 Mo 1.77
O  0.8764  0.3832  0.0862  1 Mo 1.87



Arrangement B

A plane-wave DFT calculation with PBE with a Hubbard U was carried out for crystalline LiYMo2O8 at its relaxed geometry.

The size of the total moment comes out at 0.000 Bohr magnetons per cell. Its crystal system is tetragonal.

Lattice parameters (Å, degrees): 6.7183 6.7183 6.7183 134.42 134.42 66.43
Closest atoms and distances in Å follow each position.
Fractional positions:
Li  0.0000  0.0000  0.0000  8 O 2.42-2.45
Y  0.7500  0.2500  0.5000  8 O 2.38-2.39
Mo  0.2500  0.7500  0.5000  4 O 1.81
Mo  0.5000  0.5000  0.0000  4 O 1.81
O  0.0053  0.4159  0.0901  1 Mo 1.81
O  0.0848  0.9947  0.4105  1 Mo 1.81
O  0.1645  0.5644  0.9064  1 Mo 1.81
O  0.3258  0.9152  0.9099  1 Mo 1.81
O  0.4356  0.3419  0.6000  1 Mo 1.81
O  0.5841  0.6742  0.5895  1 Mo 1.81
O  0.6581  0.2581  0.0936  1 Mo 1.81
O  0.7419  0.8355  0.4000  1 Mo 1.81



arrangement A has the most favorable energy; the next structure is 8 meV/atom above.



Arrangement A

A plane-wave DFT calculation with PBE with a Hubbard U was carried out for crystalline Li4Nb2V3Ni3O16 at its relaxed geometry.

The size of the total moment comes out at 9.000 Bohr magnetons per cell. Its crystal system is triclinic.

Lattice parameters (Å, degrees): 5.9578 5.9710 9.7476 89.89 89.41 60.11
Closest atoms and distances in Å follow each position.
Fractional positions:
Li  0.0000  0.0000  0.0000  4 O 1.86-1.99
Li  0.0006  0.0010  0.4963  4 O 1.86-1.99
Li  0.3494  0.3306  0.5904  4 O 1.99-2.02
Li  0.6949  0.6564  0.0925  4 O 1.98-2.02
Nb  0.3173  0.3435  0.9910  4 O 1.90-2.01
Nb  0.6650  0.6669  0.4898  4 O 1.90-2.12
V  0.6494  0.1759  0.2584  4 O 1.80-1.84
V  0.8263  0.8280  0.7657  4 O 1.88-1.95
V  0.8270  0.3458  0.7734  6 O 1.95-2.15
Ni  0.1758  0.1695  0.2810  6 O 2.02-2.16
Ni  0.1755  0.6602  0.2808  6 O 2.02-2.17
Ni  0.3474  0.8291  0.7763  6 O 2.03-2.11
O  0.0634  0.4706  0.1444  1 Li 1.98, 1 Nb 1.98, 2 Ni 2.06-2.07
O  0.1682  0.1677  0.8983  1 Nb 1.91, 1 Li 1.99, 1 Ni 2.11
O  0.1736  0.6655  0.8984  1 Nb 1.90, 1 Li 1.99, 1 Ni 2.10
O  0.3380  0.8345  0.4015  1 Nb 1.90, 1 Li 1.96, 2 Ni 2.10-2.11
O  0.3821  0.3122  0.3834  1 V 1.83, 1 Li 2.02
O  0.5166  0.0257  0.1515  1 V 1.80, 1 Li 1.99
O  0.5184  0.4605  0.1508  1 V 1.81, 1 Li 2.00
O  0.5361  0.5124  0.6474  1 V 1.95, 1 Li 1.99, 1 Ni 2.07, 1 Nb 2.12
O  0.5359  0.9620  0.6478  1 V 1.90, 1 Li 1.99, 1 Ni 2.08
O  0.6670  0.1644  0.8985  1 Li 1.99, 1 Nb 2.01, 2 V 2.14-2.17
O  0.6973  0.6700  0.8856  2 V 1.88-2.01, 1 Li 2.02
O  0.8269  0.8415  0.3951  1 Nb 1.96, 1 Li 1.99, 1 Ni 2.11, 1 V 2.19
O  0.8306  0.3359  0.3959  1 Nb 1.94, 1 Li 1.99, 1 Ni 2.10
O  0.9735  0.5271  0.6452  2 V 1.95-2.10, 1 Li 2.01
O  0.9837  0.0109  0.1906  1 V 1.84, 1 Li 1.86, 2 Ni 2.02
O  0.9942  0.9952  0.6875  1 Li 1.86, 2 V 1.89-2.00, 1 Ni 2.03



Arrangement B

A plane-wave DFT calculation with PBE with a Hubbard U was carried out for crystalline Li4Nb2V3Ni3O16 at its relaxed geometry.

The size of the total moment comes out at 9.001 Bohr magnetons per cell. Its crystal system is triclinic.

Lattice parameters (Å, degrees): 5.9391 5.9422 9.7104 89.63 89.57 60.29
Closest atoms and distances in Å follow each position.
Fractional positions:
Li  0.0000  0.0000  0.0000  4 O 1.84-2.02
Li  0.0019  0.0001  0.4934  4 O 1.84-1.98
Li  0.3339  0.3264  0.5842  4 O 1.99-2.04
Li  0.6611  0.6578  0.0895  4 O 1.94-2.01
Nb  0.3479  0.3436  0.0005  5 O 1.92-2.11
Nb  0.6638  0.6626  0.4864  3 O 1.89-1.90
V  0.1737  0.1718  0.2616  4 O 1.84-1.93
V  0.3466  0.8349  0.7691  5 O 1.84-2.03
V  0.8427  0.3413  0.7676  5 O 1.82-2.02
Ni  0.1652  0.6556  0.2762  6 O 2.00-2.14
Ni  0.6590  0.1620  0.2762  6 O 1.99-2.15
Ni  0.8316  0.8277  0.7803  6 O 2.01-2.13
O  0.0064  0.0004  0.6829  1 Li 1.84, 2 V 1.94-1.95, 1 Ni 2.01
O  0.0093  0.0059  0.1888  1 Li 1.84, 1 V 1.84, 2 Ni 1.99-2.00
O  0.0333  0.4657  0.1381  1 V 1.93, 1 Li 1.98, 1 Nb 2.11, 1 Ni 2.14
O  0.1647  0.1614  0.8850  1 Li 2.01, 2 V 2.02-2.03, 1 Nb 2.19
O  0.1762  0.6665  0.8925  1 Nb 1.97, 1 Li 2.02, 1 Ni 2.09, 1 V 2.11
O  0.3155  0.3117  0.3797  1 V 1.85, 1 Li 1.99, 2 Ni 2.04
O  0.3394  0.8297  0.3961  1 Nb 1.89, 1 Li 1.98
O  0.4684  0.0307  0.1377  1 V 1.93, 1 Li 1.98, 1 Nb 2.10, 1 Ni 2.15
O  0.4786  0.4747  0.1402  1 Nb 1.92, 1 Li 1.94, 2 Ni 2.09
O  0.5020  0.9579  0.6499  1 V 1.84, 1 Li 2.01
O  0.5199  0.5146  0.6526  2 V 2.01, 1 Li 2.04, 1 Nb 2.19
O  0.6527  0.6483  0.8829  2 V 1.94-1.95, 1 Li 2.01, 1 Ni 2.09
O  0.6695  0.1714  0.8919  1 Nb 1.96, 1 Li 2.01, 1 Ni 2.08, 1 V 2.13
O  0.8323  0.8295  0.4041  1 Nb 1.89, 1 Li 1.96, 2 Ni 2.12
O  0.8326  0.3370  0.3963  1 Nb 1.90, 1 Li 1.98
O  0.9638  0.4977  0.6502  1 V 1.82, 1 Li 2.01



arrangement B has the most favorable energy; the next structure is 9 meV/atom above.



Arrangement A

A plane-wave DFT calculation with PBE with a Hubbard U was carried out for crystalline Li2NbV3O8 at its relaxed geometry.

The size of the total moment comes out at 11.998 Bohr magnetons per cell. Its crystal system is hexagonal.

Lattice parameters (Å, degrees): 6.0116 6.0116 9.7665 90.00 90.00 120.00
Closest atoms and distances in Å follow each position.
Fractional positions:
Li  0.0000  0.0000  0.0000  4 O 1.80-2.00
Li  0.0000  0.0000  0.5000  4 O 1.80-2.00
Li  0.3333  0.6667  0.4061  4 O 2.01-2.04
Li  0.6667  0.3333  0.9061  4 O 2.01-2.04
Nb  0.3333  0.6667  0.9980  6 O 1.99-2.10
Nb  0.6667  0.3333  0.4980  6 O 1.99-2.10
V  0.1705  0.3411  0.7222  6 O 1.99-2.13
V  0.1705  0.8295  0.7222  6 O 1.99-2.13
V  0.3411  0.1705  0.2222  6 O 1.99-2.13
V  0.6589  0.8295  0.7222  6 O 1.99-2.13
V  0.8295  0.1705  0.2222  6 O 1.99-2.13
V  0.8295  0.6589  0.2222  6 O 1.99-2.13
O  0.0000  0.0000  0.3157  1 Li 1.80, 3 V 2.00
O  0.0000  0.0000  0.8157  1 Li 1.80, 3 V 2.00
O  0.0379  0.5190  0.8512  1 Li 2.01, 2 V 2.05, 1 Nb 2.10
O  0.1679  0.3358  0.0996  1 Nb 1.99, 1 Li 2.00, 2 V 2.13
O  0.1679  0.8321  0.0996  1 Nb 1.99, 1 Li 2.00, 2 V 2.13
O  0.3333  0.6667  0.6149  3 V 1.99, 1 Li 2.04
O  0.3358  0.1679  0.5996  1 Nb 1.99, 1 Li 2.00, 2 V 2.13
O  0.4810  0.5190  0.8512  1 Li 2.01, 2 V 2.05, 1 Nb 2.10
O  0.4810  0.9621  0.8512  1 Li 2.01, 2 V 2.05, 1 Nb 2.10
O  0.5190  0.0379  0.3512  1 Li 2.01, 2 V 2.05, 1 Nb 2.10
O  0.5190  0.4810  0.3512  1 Li 2.01, 2 V 2.05, 1 Nb 2.10
O  0.6642  0.8321  0.0996  1 Nb 1.99, 1 Li 2.00, 2 V 2.13
O  0.6667  0.3333  0.1149  3 V 1.99, 1 Li 2.04
O  0.8321  0.1679  0.5996  1 Nb 1.99, 1 Li 2.00, 2 V 2.13
O  0.8321  0.6642  0.5996  1 Nb 1.99, 1 Li 2.00, 2 V 2.13
O  0.9621  0.4810  0.3512  1 Li 2.01, 2 V 2.05, 1 Nb 2.10



Arrangement B

A plane-wave DFT calculation with PBE with a Hubbard U was carried out for crystalline Li2NbV3O8 at its relaxed geometry.

The size of the total moment comes out at 0.001 Bohr magnetons per cell.

Lattice parameters (Å, degrees): 6.0610 10.5811 6.0610 73.36 60.00 73.36
Closest atoms and distances in Å follow each position.
Fractional positions:
O  0.3597  0.3760  0.9046  1 Li 2.02, 1 Nb 2.03, 2 V 2.08
O  0.8597  0.8760  0.8597  1 Li 2.02, 1 Nb 2.03, 2 V 2.08
O  0.8597  0.8760  0.4046  1 Li 2.02, 1 Nb 2.03, 2 V 2.08
V  0.5000  0.0000  0.5000  6 O 2.03-2.08
O  0.1403  0.1240  0.5954  1 Li 2.02, 1 Nb 2.03, 2 V 2.08
O  0.8674  0.3977  0.8674  3 V 2.03, 1 Li 2.06
O  0.9046  0.3760  0.3597  1 Li 2.02, 1 Nb 2.03, 2 V 2.08
O  0.6326  0.1023  0.6326  3 V 2.03, 1 Li 2.06
O  0.0954  0.6240  0.6403  1 Li 2.02, 1 Nb 2.03, 2 V 2.08
O  0.3597  0.3760  0.3597  1 Li 2.02, 1 Nb 2.03, 2 V 2.08
V  0.0000  0.5000  0.0000  6 O 2.03-2.08
Li  0.0640  0.8081  0.0640  4 O 2.02-2.06
V  0.0000  0.0000  0.5000  6 O 2.03-2.08
Nb  0.2500  0.2500  0.2500  6 O 2.03
O  0.3674  0.8977  0.3674  3 V 2.03, 1 Li 2.06
Li  0.5640  0.3081  0.5640  4 O 2.02-2.06
O  0.1403  0.1240  0.1403  1 Li 2.02, 1 Nb 2.03, 2 V 2.08
O  0.6403  0.6240  0.6403  1 Li 2.02, 1 Nb 2.03, 2 V 2.08
Nb  0.7500  0.7500  0.7500  6 O 2.03
O  0.5954  0.1240  0.1403  1 Li 2.02, 1 Nb 2.03, 2 V 2.08
O  0.4046  0.8760  0.8597  1 Li 2.02, 1 Nb 2.03, 2 V 2.08
Li  0.4360  0.6919  0.4360  4 O 2.02-2.06
O  0.6403  0.6240  0.0954  1 Li 2.02, 1 Nb 2.03, 2 V 2.08
V  0.5000  0.5000  0.0000  6 O 2.03-2.08
V  0.5000  0.0000  0.0000  6 O 2.03-2.08
Li  0.9360  0.1919  0.9360  4 O 2.02-2.06
V  0.0000  0.5000  0.5000  6 O 2.03-2.08
O  0.1326  0.6023  0.1326  3 V 2.03, 1 Li 2.06



Arrangement C

A plane-wave DFT calculation with PBE with a Hubbard U was carried out for crystalline Li2NbV3O8 at its relaxed geometry.

The size of the total moment comes out at 6.000 Bohr magnetons per cell. Its crystal system is monoclinic.

Lattice parameters (Å, degrees): 6.4764 6.4764 6.7284 106.50 106.50 37.02
Closest atoms and distances in Å follow each position.
Fractional positions:
Li  0.0000  0.0000  0.0000  5 O 1.99-2.12
Li  0.1132  0.1132  0.7059  5 O 2.06-2.16
Nb  0.3468  0.3468  0.0828  2 O 1.79-1.98
V  0.4458  0.4458  0.6750  6 O 2.00-2.14
V  0.6646  0.6646  0.0656  4 O 1.87-2.07
V  0.7600  0.7600  0.6354  1 O 1.80
O  0.1732  0.1732  0.0319  1 Nb 2.06, 2 Li 2.07-2.09, 2 V 2.07
O  0.2837  0.2837  0.7077  3 V 2.07-2.11, 1 Li 2.09
O  0.4053  0.4053  0.3608  1 Nb 1.79
O  0.4907  0.4907  0.0080  1 Nb 1.98, 2 V 2.05-2.14, 2 Li 2.06
O  0.6155  0.6155  0.7300  3 V 2.00-2.16, 2 Li 2.06
O  0.7038  0.7038  0.3560  2 V 1.80-1.87
O  0.8332  0.8332  0.0309  2 Nb 2.08, 1 Li 2.12, 1 V 2.15
O  0.9347  0.9347  0.6905  2 Li 1.99-2.16, 3 V 2.07



arrangement A has the most favorable energy; the next structure is 6 meV/atom above.



Arrangement A

A plane-wave DFT calculation with PBE with a Hubbard U was carried out for crystalline LiNbVO4 at its relaxed geometry.

The size of the total moment comes out at 0.000 Bohr magnetons per cell.

Lattice parameters (Å, degrees): 6.1530 8.6323 6.1531 90.45 89.19 89.55
Closest atoms and distances in Å follow each position.
Fractional positions:
O  0.7776  0.4938  0.7653  1 Nb 2.02, 1 Li 2.03, 2 V 2.09
V  0.9944  0.4968  0.5015  6 O 2.09-2.12
O  0.2322  0.4925  0.7470  1 Li 2.03, 2 Nb 2.09, 1 V 2.12
O  0.9972  0.2574  0.9821  1 Li 2.03, 2 Nb 2.08-2.09, 1 V 2.12
O  0.7200  0.0096  0.7403  1 Nb 2.00, 1 Li 2.05, 2 V 2.11
O  0.0006  0.7422  0.0167  1 Li 2.03, 2 Nb 2.10, 1 V 2.10
V  0.7515  0.2531  0.7444  6 O 2.09-2.12
O  0.9904  0.7403  0.4700  1 Nb 2.00, 1 Li 2.06, 2 V 2.11
O  0.2775  0.9936  0.2653  1 Nb 2.03, 1 Li 2.03, 2 V 2.09
Nb  0.2507  0.2508  0.7539  6 O 2.00-2.10
O  0.4970  0.7575  0.4821  1 Li 2.03, 2 Nb 2.09, 1 V 2.12
O  0.7667  0.5078  0.2505  1 Li 2.03, 2 Nb 2.10, 1 V 2.10
Nb  0.0034  0.4995  0.0009  6 O 2.00-2.10
Li  0.9967  0.8750  0.7467  4 O 2.03-2.06
Nb  0.5041  0.9992  0.5007  6 O 2.00-2.10
O  0.5001  0.2419  0.5169  1 Li 2.03, 2 Nb 2.10, 1 V 2.10
V  0.2515  0.7532  0.2444  6 O 2.09-2.12
O  0.7321  0.9926  0.2471  1 Li 2.03, 2 Nb 2.08-2.09, 1 V 2.12
V  0.4944  0.9969  0.0015  6 O 2.09-2.12
O  0.2201  0.5099  0.2402  1 Nb 2.00, 1 Li 2.06, 2 V 2.11
Nb  0.7510  0.7505  0.2535  6 O 2.00-2.10
O  0.2669  0.0081  0.7501  1 Li 2.03, 2 Nb 2.10, 1 V 2.10
O  0.5151  0.7563  0.0276  1 Nb 2.02, 1 Li 2.03, 2 V 2.09
O  0.0153  0.2564  0.5275  1 Nb 2.02, 1 Li 2.03, 2 V 2.09
Li  0.0034  0.1250  0.2534  4 O 2.03
Li  0.5033  0.6250  0.7533  4 O 2.03
O  0.4901  0.2403  0.9701  1 Nb 2.00, 1 Li 2.05, 2 V 2.11
Li  0.4967  0.3750  0.2467  4 O 2.03-2.06



Arrangement B

A plane-wave DFT calculation with PBE with a Hubbard U was carried out for crystalline LiNbVO4 at its relaxed geometry.

The size of the total moment comes out at 12.007 Bohr magnetons per cell. Its crystal system is tetragonal.

Lattice parameters (Å, degrees): 6.1668 6.1668 8.7707 90.00 90.00 90.00
Closest atoms and distances in Å follow each position.
Fractional positions:
Li  0.0000  0.2304  0.0000  6 O 2.12-2.28
Li  0.0000  0.7696  0.5000  6 O 2.12-2.28
Li  0.2304  0.0000  0.2500  6 O 2.12-2.28
Li  0.7696  0.0000  0.7500  6 O 2.12-2.28
Nb  0.2531  0.2531  0.6250  4 O 1.88-1.91
Nb  0.2531  0.7469  0.8750  4 O 1.88-1.91
Nb  0.7469  0.2531  0.3750  4 O 1.88-1.91
Nb  0.7469  0.7469  0.1250  4 O 1.88-1.91
V  0.2421  0.5000  0.2500  6 O 2.14-2.18
V  0.5000  0.2421  0.0000  6 O 2.14-2.18
V  0.5000  0.7579  0.5000  6 O 2.14-2.18
V  0.7579  0.5000  0.7500  6 O 2.14-2.18
O  0.0016  0.2536  0.7458  1 Nb 1.88
O  0.0016  0.7464  0.7542  1 Nb 1.88
O  0.2536  0.0016  0.5042  1 Nb 1.88
O  0.2536  0.9984  0.9958  1 Nb 1.88
O  0.2559  0.4982  0.0041  1 Nb 1.91
O  0.2559  0.5018  0.4959  1 Nb 1.91
O  0.4982  0.2559  0.2459  1 Nb 1.91
O  0.4982  0.7441  0.2541  1 Nb 1.91
O  0.5018  0.2559  0.7541  1 Nb 1.91
O  0.5018  0.7441  0.7459  1 Nb 1.91
O  0.7441  0.4982  0.9959  1 Nb 1.91
O  0.7441  0.5018  0.5041  1 Nb 1.91
O  0.7464  0.0016  0.4958  1 Nb 1.88
O  0.7464  0.9984  0.0042  1 Nb 1.88
O  0.9984  0.2536  0.2542  1 Nb 1.88
O  0.9984  0.7464  0.2458  1 Nb 1.88



arrangement B has the most favorable energy; the next structure is 16 meV/atom above.